1.
# RbNaMg14O15

A geometry-optimized RbNaMg14O15 structure (PBE, Materials Project).

extended XYZ file:
```
31
Lattice="-6.661 -4.149 3.253 4.723 -1.912 7.233 -1.395 3.724 1.895" Properties=species:S:1:pos:R:3 pbc="T T T"
Rb 1.699 -1.369 3.941
Na -6.579 -4.099 3.213
Mg -3.331 -2.075 1.626
Mg -1.108 -3.117 5.311
Mg -6.171 -2.722 5.929
Mg -3.734 -3.709 9.661
Mg -2.815 -0.682 4.388
Mg -0.475 -1.629 7.972
Mg -2.310 0.858 1.735
Mg -0.009 -0.136 5.381
Mg -5.688 -1.247 3.385
Mg -3.438 -2.272 7.056
Mg -0.576 -1.409 2.344
Mg 2.104 -2.494 6.450
Mg -3.863 -3.639 4.309
Mg -1.539 -4.580 7.869
O -1.766 -1.100 0.862
O -4.846 -3.019 2.366
O -2.608 -4.052 6.043
O -1.101 0.346 3.630
O 1.161 -0.570 7.094
O -4.460 -1.705 5.188
O -2.117 -2.654 8.777
O -0.703 1.858 0.950
O 1.662 0.905 4.565
O -3.966 -0.174 2.544
O -1.567 -1.107 6.142
O 1.142 -0.465 1.754
O 3.576 -1.450 5.482
O -1.932 -2.500 3.491
O 0.269 -3.390 6.861
```

Properties
Energy relative to the lowest polymorph listed for this composition   28.7 meV per atom
ΔE_f   -255.5 kJ per mole of atoms
Size of the total moment   0.000 μB per formula unit
Space group   Pmm2, No. 25

2.
# NdH3S2O9

A geometry-optimized NdH3S2O9 structure (PBE, Materials Project).

extended XYZ file:
```
60
Lattice="7.044 0.000 0.000 0.000 8.816 0.000 0.000 0.157 10.886" Properties=species:S:1:pos:R:3 pbc="T T T"
Nd 1.186 8.442 9.230
Nd 4.708 0.609 7.099
Nd 5.859 0.531 1.656
Nd 2.337 8.364 3.787
H 3.949 5.720 1.645
H 0.427 3.174 3.798
H 3.095 3.253 9.241
H 6.617 5.799 7.088
H 5.575 5.229 1.454
H 2.052 3.666 3.989
H 1.470 3.744 9.432
H 4.992 5.307 6.897
H 4.286 4.143 1.327
H 0.764 4.751 4.116
H 2.758 4.829 9.559
H 6.280 4.222 6.769
S 1.083 6.425 0.906
S 4.605 2.469 4.537
S 5.961 2.548 9.980
S 2.439 6.504 6.349
S 1.144 1.715 6.661
S 4.666 7.337 9.667
S 5.901 7.258 4.224
S 2.378 1.636 1.218
O 0.087 5.449 1.331
O 3.609 3.445 4.111
O 6.958 3.524 9.554
O 3.436 5.527 6.774
O 1.682 6.279 10.457
O 5.204 2.772 5.871
O 5.362 2.694 0.429
O 1.840 6.201 5.014
O 0.438 7.781 0.661
O 3.960 1.114 4.781
O 6.607 1.192 10.224
O 3.085 7.859 6.104
O 2.164 6.600 1.927
O 5.687 2.294 3.516
O 4.880 2.373 8.958
O 1.358 6.678 7.370
O 0.895 3.140 6.647
O 4.417 5.911 9.682
O 6.149 5.833 4.239
O 2.627 3.062 1.204
O 2.366 1.369 7.498
O 5.889 7.683 8.831
O 4.678 7.604 3.388
O 1.156 1.290 2.055
O 0.056 0.948 7.414
O 3.578 8.103 8.914
O 6.988 8.025 3.471
O 3.466 0.869 1.972
O 1.228 1.155 5.295
O 4.751 7.740 0.148
O 5.816 7.818 5.591
O 2.294 1.233 10.738
O 4.615 4.991 1.736
O 1.093 3.903 3.707
O 2.429 3.982 9.149
O 5.951 5.069 7.179
```

Properties
ΔE_f   -201.1 kJ per mole of atoms
Size of the total moment   0.000 μB per formula unit
Space group   P2_1/c, No. 14

3.
# InSiPt5

A geometry-optimized InSiPt5 structure (PBE, Materials Project).

extended XYZ file:
```
7
Lattice="-2.602 -1.853 -2.409 2.008 -3.428 0.468 -4.076 -1.616 5.645" Properties=species:S:1:pos:R:3 pbc="T T T"
In -0.297 -2.641 -0.970
Si -2.038 -0.808 2.822
Pt 0.000 0.000 0.000
Pt -4.167 -2.063 2.764
Pt -1.862 -2.851 4.203
Pt -2.511 -1.406 0.471
Pt -0.206 -2.194 1.910
```

Properties
ΔE_f   -51.0 kJ per mole of atoms
Space group   P4/mmm, No. 123

4.
# SiNiN2

A geometry-optimized SiNiN2 structure (PBE, Materials Project).

extended XYZ file:
```
16
Lattice="-4.308 2.558 1.228 -3.478 -4.698 -2.415 -0.062 -2.235 4.436" Properties=species:S:1:pos:R:3 pbc="T T T"
Si -3.786 -0.300 -0.177
Si -4.032 -2.979 1.252
Si -7.056 -2.876 1.261
Si -0.762 -0.404 -0.186
Ni -5.509 -2.650 -1.405
Ni -2.308 -0.613 2.448
Ni -5.332 -0.510 2.457
Ni -2.485 -2.754 -1.415
N -3.820 -1.247 1.303
N -4.041 -3.605 2.894
N -7.238 -3.735 2.784
N -0.623 -1.117 1.414
N -5.563 -3.359 0.493
N -2.305 -1.716 4.147
N -5.143 -1.363 4.286
N -2.724 -3.713 0.354
```

Properties
ΔE_f   -54.4 kJ per mole of atoms
Size of the total moment   1.999 μB per formula unit
Space group   Pna2_1, No. 33